VASP calculation (PBE) on a relaxed structure of Ag5IO6.

Cell lengths 11.483, 11.483, 11.483 Å; angles 30.39, 30.39, 30.39 degrees
Atoms (fractional coordinates):
Ag 0.045 0.750 0.455
Ag 0.150 0.150 0.150
Ag 0.250 0.545 0.955
Ag 0.350 0.350 0.350
Ag 0.455 0.045 0.750
Ag 0.545 0.955 0.250
Ag 0.650 0.650 0.650
Ag 0.750 0.455 0.045
Ag 0.850 0.850 0.850
Ag 0.955 0.250 0.545
I 0.000 0.000 0.000
I 0.500 0.500 0.500
O 0.016 0.680 0.203
O 0.180 0.516 0.703
O 0.203 0.016 0.680
O 0.297 0.820 0.484
O 0.320 0.797 0.984
O 0.484 0.297 0.820
O 0.516 0.703 0.180
O 0.680 0.203 0.016
O 0.703 0.180 0.516
O 0.797 0.984 0.320
O 0.820 0.484 0.297
O 0.984 0.320 0.797

Results
As for the symmetry: R-3c. The crystal system is trigonal.

VASP calculation (PBE) on a relaxed structure of Ag2IO6.

Cell lengths 3.974, 6.940, 7.438 Å; angles 103.30, 92.04, 96.52 degrees
Atoms (fractional coordinates):
Ag 0.211 0.346 0.376
Ag 0.789 0.654 0.624
I 0.500 0.000 0.000
O 0.155 0.072 0.195
O 0.279 0.624 0.562
O 0.407 0.549 0.053
O 0.593 0.451 0.947
O 0.721 0.376 0.438
O 0.845 0.928 0.805

Results
As for the symmetry: P-1. The crystal system is triclinic.

Number 1: formation energy from the elements -601.0 kJ/mol of formula units. Number 2: formation energy from the elements -10.8 kJ/mol of formula units.